(1)
A plane-wave DFT calculation with PBE was carried out for an optimized crystal structure of Ta2CdP6O21.

As for the total energy: -920.74 eV for the cell shown. Its symmetry is Pnma, No. 62. The value obtained for the energy of formation is -2.7862 eV/atom.

Unit cell a=8.504 b=13.371 c=16.098 alpha=90.00 beta=90.00 gamma=90.00
Element x y z (fractional)
1 P 0.580 0.212 0.250
2 P 0.559 0.196 0.929
3 Cd 0.176 0.148 0.250
4 O 0.406 0.734 0.504
5 O 0.436 0.402 0.103
6 O 0.873 0.596 0.250
7 O 0.728 0.463 0.172
8 O 0.384 0.163 0.939
9 Ta 0.338 0.634 0.585
10 O 0.656 0.097 0.546
11 O 0.925 0.098 0.250
12 O 0.906 0.766 0.004
13 O 0.899 0.735 0.847
14 O 0.908 0.277 0.750
15 O 0.760 0.465 0.652
16 O 0.272 0.537 0.828
17 O 0.616 0.837 0.061
18 O 0.837 0.969 0.999
19 P 0.441 0.804 0.429
20 O 0.101 0.265 0.347
21 O 0.228 0.037 0.828
22 O 0.841 0.760 0.328
23 O 0.064 0.902 0.397
24 P 0.420 0.788 0.750
25 O 0.344 0.903 0.454
26 P 0.941 0.696 0.929
27 O 0.094 0.234 0.996
28 O 0.337 0.531 0.001
29 O 0.406 0.734 0.996
30 Cd 0.824 0.852 0.750
31 O 0.564 0.598 0.603
32 O 0.663 0.469 0.999
33 O 0.064 0.902 0.103
34 Cd 0.676 0.352 0.750
35 O 0.740 0.965 0.652
36 P 0.205 0.972 0.418
37 P 0.795 0.028 0.918
38 O 0.564 0.598 0.897
39 O 0.156 0.403 0.046
40 O 0.344 0.903 0.046
41 P 0.559 0.196 0.571
42 P 0.705 0.528 0.582
43 O 0.163 0.031 0.001
44 P 0.941 0.696 0.571
45 O 0.116 0.663 0.939
46 O 0.663 0.469 0.501
47 Ta 0.162 0.134 0.585
48 O 0.837 0.969 0.501
49 Ta 0.662 0.366 0.085
50 O 0.936 0.098 0.897
51 P 0.059 0.304 0.429
52 O 0.884 0.337 0.061
53 P 0.295 0.472 0.082
54 O 0.240 0.535 0.348
55 O 0.844 0.597 0.954
56 O 0.659 0.260 0.172
57 O 0.240 0.535 0.152
58 O 0.341 0.740 0.828
59 P 0.787 0.031 0.250
60 O 0.616 0.837 0.439
61 O 0.627 0.096 0.250
62 O 0.728 0.463 0.328
63 O 0.594 0.266 0.004
64 O 0.337 0.531 0.499
65 O 0.659 0.260 0.328
66 O 0.740 0.965 0.848
67 O 0.760 0.465 0.848
68 O 0.399 0.765 0.347
69 O 0.159 0.240 0.828
70 P 0.713 0.531 0.250
71 P 0.205 0.972 0.082
72 P 0.705 0.528 0.918
73 O 0.841 0.760 0.172
74 O 0.272 0.537 0.672
75 O 0.163 0.031 0.499
76 O 0.075 0.902 0.750
77 O 0.436 0.402 0.397
78 Ta 0.162 0.134 0.915
79 O 0.341 0.740 0.672
80 O 0.399 0.765 0.153
81 P 0.920 0.712 0.250
82 O 0.906 0.766 0.496
83 O 0.092 0.723 0.250
84 O 0.601 0.235 0.847
85 O 0.575 0.598 0.250
86 Ta 0.338 0.634 0.915
87 O 0.594 0.266 0.496
88 P 0.295 0.472 0.418
89 O 0.101 0.265 0.153
90 O 0.127 0.404 0.750
91 O 0.656 0.097 0.954
92 O 0.159 0.240 0.672
93 O 0.601 0.235 0.653
94 O 0.899 0.735 0.653
95 P 0.795 0.028 0.582
96 P 0.441 0.804 0.071
97 O 0.425 0.402 0.750
98 P 0.059 0.304 0.071
99 O 0.936 0.098 0.603
100 O 0.260 0.035 0.348
101 O 0.884 0.337 0.439
102 O 0.228 0.037 0.672
103 O 0.408 0.223 0.250
104 Ta 0.662 0.366 0.415
105 O 0.772 0.963 0.328
106 Cd 0.324 0.648 0.250
107 O 0.373 0.904 0.750
108 P 0.080 0.288 0.750
109 Ta 0.838 0.866 0.085
110 O 0.116 0.663 0.561
111 P 0.213 0.969 0.750
112 O 0.844 0.597 0.546
113 O 0.094 0.234 0.504
114 P 0.287 0.469 0.750
115 O 0.384 0.163 0.561
116 Ta 0.838 0.866 0.415
117 O 0.156 0.403 0.454
118 O 0.592 0.777 0.750
119 O 0.772 0.963 0.172
120 O 0.260 0.035 0.152



(2)
A plane-wave DFT calculation with PBE was carried out for an optimized crystal structure of Mg14MnC.

As for the total energy: -35.60 eV for the cell shown. Its symmetry is P-6m2, No. 187. The value obtained for the energy of formation is 0.3247 eV/atom. Its relative energy among the computed polymorphs is 102 meV per atom.

Unit cell a=6.227 b=6.227 c=9.806 alpha=90.00 beta=90.00 gamma=120.00
Element x y z (fractional)
1 Mg 0.669 0.338 0.625
2 Mg 0.833 0.667 0.879
3 Mg 0.162 0.831 0.625
4 Mg 0.664 0.836 0.125
5 Mg 0.326 0.651 0.383
6 Mg 0.833 0.667 0.371
7 Mg 0.849 0.174 0.383
8 Mg 0.849 0.174 0.867
9 Mn 0.167 0.333 0.125
10 Mg 0.326 0.174 0.867
11 Mg 0.669 0.831 0.625
12 Mg 0.326 0.174 0.383
13 Mg 0.664 0.328 0.125
14 Mg 0.172 0.836 0.125
15 C 0.167 0.333 0.625
16 Mg 0.326 0.651 0.867



(3)
A plane-wave DFT calculation with PBE was carried out for an optimized crystal structure of HoMgB5O10.

As for the total energy: -539.80 eV for the cell shown. Its symmetry is P2_1/c, No. 14. The value obtained for the energy of formation is -3.1036 eV/atom.

Unit cell a=7.654 b=8.625 c=12.309 alpha=49.30 beta=90.00 gamma=90.00
Element x y z (fractional)
1 O 0.290 0.195 0.769
2 B 0.674 0.912 0.604
3 Ho 0.307 0.948 0.741
4 O 0.272 0.029 0.021
5 O 0.150 0.546 0.135
6 B 0.968 0.278 0.944
7 O 0.150 0.578 0.425
8 O 0.373 0.327 0.489
9 O 0.127 0.327 0.989
10 O 0.472 0.311 0.872
11 O 0.452 0.118 0.126
12 O 0.627 0.673 0.511
13 O 0.210 0.195 0.269
14 O 0.350 0.546 0.635
15 B 0.424 0.341 0.741
16 O 0.028 0.234 0.851
17 O 0.850 0.422 0.575
18 Mg 0.408 0.472 0.128
19 O 0.611 0.094 0.581
20 O 0.548 0.882 0.874
21 Ho 0.807 0.052 0.759
22 O 0.952 0.882 0.374
23 O 0.850 0.454 0.865
24 B 0.097 0.155 0.505
25 Mg 0.908 0.528 0.372
26 O 0.086 0.689 0.807
27 O 0.111 0.906 0.919
28 B 0.812 0.476 0.089
29 O 0.650 0.422 0.075
30 B 0.032 0.722 0.056
31 B 0.312 0.524 0.411
32 O 0.914 0.311 0.193
33 B 0.532 0.278 0.444
34 O 0.772 0.971 0.479
35 O 0.528 0.689 0.128
36 O 0.873 0.673 0.011
37 B 0.076 0.341 0.241
38 O 0.528 0.766 0.649
39 O 0.350 0.578 0.925
40 O 0.889 0.094 0.081
41 B 0.597 0.845 0.995
42 Mg 0.092 0.472 0.628
43 O 0.414 0.689 0.307
44 O 0.028 0.311 0.372
45 B 0.903 0.845 0.495
46 O 0.972 0.766 0.149
47 O 0.586 0.311 0.693
48 Ho 0.193 0.948 0.241
49 O 0.710 0.805 0.231
50 O 0.048 0.118 0.626
51 O 0.228 0.029 0.521
52 O 0.389 0.906 0.419
53 B 0.174 0.088 0.896
54 O 0.472 0.234 0.351
55 B 0.188 0.524 0.911
56 O 0.972 0.689 0.628
57 O 0.650 0.454 0.365
58 Mg 0.592 0.528 0.872
59 O 0.790 0.805 0.731
60 B 0.576 0.659 0.259
61 B 0.326 0.088 0.396
62 B 0.468 0.722 0.556
63 B 0.826 0.912 0.104
64 B 0.403 0.155 0.005
65 B 0.924 0.659 0.759
66 Ho 0.693 0.052 0.259
67 B 0.688 0.476 0.589
68 O 0.728 0.971 0.979



(4)
A plane-wave DFT calculation with PBE was carried out for an optimized crystal structure of Ca4RuN4.

As for the total energy: -112.28 eV for the cell shown. Its symmetry is P-1, No. 2. The value obtained for the energy of formation is -0.7714 eV/atom. Its relative energy among the computed polymorphs is 0 meV per atom.

Unit cell a=6.073 b=6.052 c=8.710 alpha=68.93 beta=78.27 gamma=69.38
Element x y z (fractional)
1 Ca 0.266 0.509 0.431
2 Ru 0.701 0.858 0.757
3 N 0.521 0.622 0.798
4 N 0.018 0.315 0.383
5 N 0.496 0.167 0.662
6 Ca 0.790 0.049 0.379
7 Ru 0.299 0.142 0.243
8 N 0.945 0.841 0.890
9 Ca 0.727 0.210 0.981
10 Ca 0.734 0.491 0.569
11 N 0.982 0.685 0.617
12 Ca 0.273 0.790 0.019
13 Ca 0.217 0.420 0.845
14 Ca 0.210 0.951 0.621
15 N 0.479 0.378 0.202
16 N 0.504 0.833 0.338
17 N 0.055 0.159 0.110
18 Ca 0.783 0.580 0.155



(5)
A plane-wave DFT calculation with PBE was carried out for an optimized crystal structure of SrInAu5.

As for the total energy: -23.94 eV for the cell shown. Its symmetry is I-4m2, No. 119. The value obtained for the energy of formation is -0.4468 eV/atom.

Unit cell a=5.903 b=5.903 c=5.903 alpha=102.80 beta=102.80 gamma=123.85
Element x y z (fractional)
1 In 0.750 0.250 0.500
2 Au 0.694 0.694 0.388
3 Au 0.250 0.750 0.500
4 Au 0.306 0.694 0.000
5 Au 0.306 0.306 0.612
6 Sr 0.000 0.000 0.000
7 Au 0.694 0.306 0.000



(6)
A plane-wave DFT calculation with PBE was carried out for an optimized crystal structure of Zr2Fe3Si.

As for the total energy: -102.26 eV for the cell shown. Its symmetry is P6_3/mmc, No. 194. The value obtained for the energy of formation is -0.5211 eV/atom.

Unit cell a=4.992 b=4.992 c=8.067 alpha=90.00 beta=90.00 gamma=120.00
Element x y z (fractional)
1 Zr 0.667 0.333 0.564
2 Si 0.000 0.000 0.500
3 Fe 0.830 0.170 0.250
4 Zr 0.333 0.667 0.064
5 Si 0.000 0.000 0.000
6 Fe 0.170 0.830 0.750
7 Fe 0.170 0.339 0.750
8 Fe 0.661 0.830 0.750
9 Fe 0.339 0.170 0.250
10 Fe 0.830 0.661 0.250
11 Zr 0.667 0.333 0.936
12 Zr 0.333 0.667 0.436



Repeat the third record exactly.
A plane-wave DFT calculation with PBE was carried out for an optimized crystal structure of HoMgB5O10.

As for the total energy: -539.80 eV for the cell shown. Its symmetry is P2_1/c, No. 14. The value obtained for the energy of formation is -3.1036 eV/atom.

Unit cell a=7.654 b=8.625 c=12.309 alpha=49.30 beta=90.00 gamma=90.00
Element x y z (fractional)
1 O 0.290 0.195 0.769
2 B 0.674 0.912 0.604
3 Ho 0.307 0.948 0.741
4 O 0.272 0.029 0.021
5 O 0.150 0.546 0.135
6 B 0.968 0.278 0.944
7 O 0.150 0.578 0.425
8 O 0.373 0.327 0.489
9 O 0.127 0.327 0.989
10 O 0.472 0.311 0.872
11 O 0.452 0.118 0.126
12 O 0.627 0.673 0.511
13 O 0.210 0.195 0.269
14 O 0.350 0.546 0.635
15 B 0.424 0.341 0.741
16 O 0.028 0.234 0.851
17 O 0.850 0.422 0.575
18 Mg 0.408 0.472 0.128
19 O 0.611 0.094 0.581
20 O 0.548 0.882 0.874
21 Ho 0.807 0.052 0.759
22 O 0.952 0.882 0.374
23 O 0.850 0.454 0.865
24 B 0.097 0.155 0.505
25 Mg 0.908 0.528 0.372
26 O 0.086 0.689 0.807
27 O 0.111 0.906 0.919
28 B 0.812 0.476 0.089
29 O 0.650 0.422 0.075
30 B 0.032 0.722 0.056
31 B 0.312 0.524 0.411
32 O 0.914 0.311 0.193
33 B 0.532 0.278 0.444
34 O 0.772 0.971 0.479
35 O 0.528 0.689 0.128
36 O 0.873 0.673 0.011
37 B 0.076 0.341 0.241
38 O 0.528 0.766 0.649
39 O 0.350 0.578 0.925
40 O 0.889 0.094 0.081
41 B 0.597 0.845 0.995
42 Mg 0.092 0.472 0.628
43 O 0.414 0.689 0.307
44 O 0.028 0.311 0.372
45 B 0.903 0.845 0.495
46 O 0.972 0.766 0.149
47 O 0.586 0.311 0.693
48 Ho 0.193 0.948 0.241
49 O 0.710 0.805 0.231
50 O 0.048 0.118 0.626
51 O 0.228 0.029 0.521
52 O 0.389 0.906 0.419
53 B 0.174 0.088 0.896
54 O 0.472 0.234 0.351
55 B 0.188 0.524 0.911
56 O 0.972 0.689 0.628
57 O 0.650 0.454 0.365
58 Mg 0.592 0.528 0.872
59 O 0.790 0.805 0.731
60 B 0.576 0.659 0.259
61 B 0.326 0.088 0.396
62 B 0.468 0.722 0.556
63 B 0.826 0.912 0.104
64 B 0.403 0.155 0.005
65 B 0.924 0.659 0.759
66 Ho 0.693 0.052 0.259
67 B 0.688 0.476 0.589
68 O 0.728 0.971 0.979